First-principles (PBE-GGA) data for CsMg14V after structural relaxation, as listed in the Materials Project database.

a = 6.511 Å, b = 6.511 Å, c = 10.767 Å
α = 90.00°, β = 90.00°, γ = 120.00°
Element x y z (fractional)
Mg1 0.833 0.667 0.868
Mg2 0.162 0.831 0.125
Mg3 0.828 0.164 0.349
Mg4 0.669 0.831 0.125
Mg5 0.663 0.326 0.625
Mg6 0.663 0.837 0.625
Mg7 0.833 0.667 0.382
Mg8 0.336 0.672 0.349
Mg9 0.174 0.837 0.625
Mg10 0.336 0.164 0.349
Mg11 0.828 0.164 0.901
Mg12 0.336 0.672 0.901
Cs1 0.167 0.333 0.625
V1 0.167 0.333 0.125
Mg13 0.336 0.164 0.901
Mg14 0.669 0.338 0.125

Properties
E (eV/atom): -1.762
Space group: P-6m2